Material: FeO2
Method: DFT, GGA+U
State: relaxed

a b c (Å): 5.940 5.973 14.501
angles (deg): 88.61 89.15 60.39
Sites, in units of the cell vectors:
Fe (0.331, 0.827, 0.333)
Fe (0.000, 0.005, 0.500)
Fe (0.165, 0.174, 0.168)
Fe (0.499, 0.002, 0.500)
Fe (0.668, 0.173, 0.666)
Fe (0.336, 0.831, 0.955)
Fe (0.332, 0.333, 0.834)
Fe (0.833, 0.334, 0.834)
Fe (0.833, 0.833, 0.833)
Fe (0.165, 0.660, 0.169)
Fe (0.681, 0.656, 0.168)
Fe (0.501, 0.501, 0.499)
O (0.625, 0.673, 0.420)
O (0.979, 0.496, 0.246)
O (0.843, 0.805, 0.109)
O (0.658, 0.172, 0.431)
O (0.171, 0.164, 0.902)
O (0.183, 0.692, 0.418)
O (0.667, 0.668, 0.900)
O (0.170, 0.669, 0.902)
O (0.304, 0.346, 0.107)
O (0.526, 0.028, 0.744)
O (0.847, 0.355, 0.104)
O (0.380, 0.326, 0.579)
O (0.176, 0.132, 0.426)
O (0.815, 0.310, 0.582)
O (0.480, 0.537, 0.239)
O (0.474, 0.968, 0.246)
O (0.345, 0.835, 0.089)
O (0.819, 0.882, 0.577)
O (0.658, 0.165, 0.902)
O (0.047, 0.974, 0.243)
O (0.343, 0.829, 0.568)
O (0.948, 0.027, 0.747)
O (0.010, 0.502, 0.769)
O (0.522, 0.452, 0.747)

total moment = 48.0 μB/cell
E = -6.06 eV per atom
ρ = 3915 kg/m3
formation energy = -3.45 eV/f.u.